1.
## Nb4AgBi5O18 (GGA-PBE)

Data for a relaxed Nb4AgBi5O18 crystal.

Calculated values
The calculation puts the total DFT energy (no corrections) at -7.283 eV/atom. Its MP2020-corrected energy is -216.30 eV for the cell shown. As for the calculated formation energy: -2305.4 meV per atom. As for the space group: Cm, No. 8.

a = 12.9370 Å, b = 12.9370 Å, c = 5.6082 Å
α = 89.83°, β = 89.83°, γ = 155.14°
Closest atoms and distances in Å follow each position.
Atoms (fractional coordinates):
1 O 0.9749 0.1103 0.7805  1 Nb 1.90
2 O 0.3290 0.3290 0.0831  2 Nb 2.19, 1 Bi 2.26
3 O 0.1103 0.9749 0.7805  1 Nb 1.90
4 O 0.3634 0.5465 0.3611  1 Nb 1.88
5 O 0.5465 0.3634 0.3611  1 Nb 1.88
6 O 0.2634 0.7590 0.7661  3 Bi 2.21-2.33
7 O 0.6454 0.4734 0.8699  2 Nb 1.99-2.12
8 O 0.0248 0.8882 0.2723  2 Nb 1.94-2.09
9 O 0.3400 0.0239 0.0649  1 Nb 1.90
10 O 0.6896 0.6896 0.5941  2 Nb 2.20, 1 Bi 2.23
11 O 0.0239 0.3400 0.0649  1 Nb 1.90
12 O 0.6655 0.9816 0.5748  1 Nb 1.91
13 O 0.2420 0.7395 0.2655  3 Bi 2.22-2.34
14 O 0.9816 0.6655 0.5748  1 Nb 1.91
15 O 0.7590 0.2634 0.7661  3 Bi 2.21-2.33
16 O 0.8882 0.0248 0.2723  2 Nb 1.94-2.09
17 O 0.7395 0.2420 0.2655  3 Bi 2.22-2.34
18 O 0.4734 0.6454 0.8699  2 Nb 1.99-2.12
19 Bi 0.5823 0.9821 0.9900  3 O 2.21-2.34
20 Bi 0.4192 0.0189 0.4902  3 O 2.22-2.33
21 Bi 0.7251 0.7251 0.9898  4 O 2.23-2.46
22 Bi 0.9821 0.5823 0.9900  3 O 2.21-2.34
23 Bi 0.0189 0.4192 0.4902  3 O 2.22-2.33
24 Nb 0.8262 0.6554 0.5348  3 O 1.88-1.94
25 Nb 0.1603 0.3287 0.0411  4 O 1.90-2.09
26 Nb 0.6554 0.8262 0.5348  3 O 1.88-1.94
27 Nb 0.3287 0.1603 0.0411  4 O 1.90-2.09
28 Ag 0.2413 0.2413 0.5288  8 O 2.47-2.76

2.
## CaPmPt2 (GGA-PBE)

Data for a relaxed CaPmPt2 crystal.

Calculated values
The calculation puts the total DFT energy (no corrections) at -5.738 eV/atom. As for the calculated formation energy: -1013.0 meV per atom. As for the space group: Fm-3m, No. 225.

a = 5.0059 Å, b = 5.0059 Å, c = 5.0059 Å
α = 60.00°, β = 60.00°, γ = 60.00°
Closest atoms and distances in Å follow each position.
Atoms (fractional coordinates):
1 Ca 0.5000 0.5000 0.5000  8 Pt 3.07
2 Pm 0.0000 0.0000 0.0000  8 Pt 3.07
3 Pt 0.2500 0.2500 0.2500  4 Ca 3.07, 4 Pm 3.07
4 Pt 0.7500 0.7500 0.7500  4 Ca 3.07, 4 Pm 3.07

3.
## HoMn6Ga6 (GGA-PBE)

Data for a relaxed HoMn6Ga6 crystal.

Calculated values
The calculation puts the total DFT energy (no corrections) at -6.083 eV/atom. As for the calculated formation energy: -104.3 meV per atom. As for the space group: Fmmm, No. 69.

a = 8.9415 Å, b = 6.8249 Å, c = 6.7103 Å
α = 82.69°, β = 49.21°, γ = 48.10°
Closest atoms and distances in Å follow each position.
Atoms (fractional coordinates):
1 Ga 0.0000 0.5000 0.0000  6 Ga 2.41-2.62
2 Ga 0.2601 0.5095 0.4905  5 Mn 2.47-2.62, 2 Ga 2.62
3 Ga 0.7399 0.4905 0.5095  5 Mn 2.47-2.62, 2 Ga 2.62
4 Ga 0.5000 0.0000 0.5000  6 Ga 2.41-2.62
5 Ga 0.5095 0.2601 0.7399  5 Mn 2.47-2.62, 2 Ga 2.62
6 Ga 0.4905 0.7399 0.2601  5 Mn 2.47-2.62, 2 Ga 2.62
7 Mn 0.6459 0.0041 0.9959  6 Ga 2.57-2.76, 3 Mn 2.61-2.69
8 Mn 0.3541 0.9959 0.0041  6 Ga 2.57-2.76, 3 Mn 2.61-2.69
9 Mn 0.0000 0.0000 0.5000  6 Mn 2.41-2.69, 4 Ga 2.47
10 Mn 0.5000 0.5000 0.0000  6 Mn 2.41-2.69, 4 Ga 2.47
11 Mn 0.9959 0.3541 0.6459  6 Ga 2.57-2.76, 3 Mn 2.61-2.69
12 Mn 0.0041 0.6459 0.3541  6 Ga 2.57-2.76, 3 Mn 2.61-2.69
13 Ho 0.0000 0.0000 0.0000  8 Mn 3.17-3.36, 12 Ga 3.23-3.41

4.
## CaLa3Si8 (GGA-PBE)

Data for a relaxed CaLa3Si8 crystal.

Calculated values
The calculation puts the total DFT energy (no corrections) at -5.604 eV/atom. Its MP2020-corrected energy is -66.67 eV for the cell shown. As for the calculated formation energy: -538.2 meV per atom. As for the space group: P-4m2, No. 115.

a = 4.2648 Å, b = 4.2648 Å, c = 14.1615 Å
α = 90.00°, β = 90.00°, γ = 90.00°
Closest atoms and distances in Å follow each position.
Atoms (fractional coordinates):
1 La 0.5000 0.0000 0.7508  12 Si 3.17-3.24
2 La 0.0000 0.5000 0.2492  12 Si 3.17-3.24
3 La 0.0000 0.0000 0.5000  12 Si 3.18-3.24
4 Si 0.5000 0.0000 0.1647  3 Si 2.39-2.42
5 Si 0.5000 0.5000 0.4155  3 Si 2.39-2.43
6 Si 0.5000 0.0000 0.3338  3 Si 2.39-2.43
7 Si 0.0000 0.5000 0.6662  3 Si 2.39-2.43
8 Si 0.0000 0.0000 0.9165  3 Si 2.36-2.42
9 Si 0.5000 0.5000 0.5845  3 Si 2.39-2.43
10 Si 0.0000 0.0000 0.0835  3 Si 2.36-2.42
11 Si 0.0000 0.5000 0.8353  3 Si 2.39-2.42
12 Ca 0.5000 0.5000 0.0000  12 Si 3.16-3.24

5.
## TcPt (GGA-PBE)

Data for a relaxed TcPt crystal.

Calculated values
The calculation puts the excess energy over the best structure of this formula in the dataset at 0.0173 eV/atom. The calculation puts the total DFT energy (no corrections) at -8.255 eV/atom. As for the calculated formation energy: -39.3 meV per atom. As for the space group: R-3m, No. 166.

a = 4.8328 Å, b = 4.8328 Å, c = 4.8328 Å
α = 33.16°, β = 33.16°, γ = 33.16°
Closest atoms and distances in Å follow each position.
Atoms (fractional coordinates):
1 Pt 0.0000 0.0000 0.0000  6 Pt 2.76, 6 Tc 2.78
2 Tc 0.5000 0.5000 0.5000  6 Tc 2.76, 6 Pt 2.78